# 1
{"formula": "Ta2Mn3O8", "functional": "GGA+U", "state": "optimized geometry", "lattice": [[7.199, -6.043, 1.230], [-8.303, -2.419, 3.881], [-1.507, 0.396, -9.350]], "species": ["Ta", "Ta", "Ta", "Ta", "Ta", "Ta", "Ta", "Ta", "Mn", "Mn", "Mn", "Mn", "Mn", "Mn", "Mn", "Mn", "Mn", "Mn", "Mn", "Mn", "O", "O", "O", "O", "O", "O", "O", "O", "O", "O", "O", "O", "O", "O", "O", "O", "O", "O", "O", "O", "O", "O", "O", "O", "O", "O", "O", "O", "O", "O", "O", "O"], "fractional_positions": [[0.809, 0.428, 0.228], [0.678, 0.950, 0.120], [0.831, 0.559, 0.880], [0.200, 0.581, 0.772], [0.441, 0.322, 0.272], [0.572, 0.800, 0.380], [0.419, 0.191, 0.620], [0.050, 0.169, 0.728], [0.500, 0.500, 0.000], [0.750, 0.250, 0.500], [0.000, 0.000, 0.000], [0.250, 0.750, 0.500], [0.265, 0.857, 0.183], [0.107, 0.424, 0.092], [0.333, 0.015, 0.908], [0.674, 0.083, 0.817], [0.985, 0.893, 0.317], [0.143, 0.326, 0.408], [0.917, 0.735, 0.592], [0.576, 0.667, 0.683], [0.829, 0.446, 0.034], [0.696, 0.162, 0.117], [0.045, 0.579, 0.883], [0.412, 0.795, 0.966], [0.421, 0.304, 0.466], [0.554, 0.588, 0.383], [0.205, 0.171, 0.617], [0.838, 0.955, 0.534], [0.933, 0.067, 0.259], [0.317, 0.558, 0.634], [0.924, 0.683, 0.366], [0.808, 0.674, 0.741], [0.317, 0.683, 0.241], [0.933, 0.192, 0.866], [0.326, 0.067, 0.134], [0.442, 0.076, 0.759], [0.541, 0.355, 0.109], [0.605, 0.996, 0.315], [0.682, 0.291, 0.685], [0.246, 0.432, 0.891], [0.105, 0.028, 0.819], [0.278, 0.960, 0.423], [0.537, 0.855, 0.577], [0.210, 0.287, 0.181], [0.145, 0.722, 0.681], [0.972, 0.790, 0.077], [0.713, 0.895, 0.923], [0.040, 0.463, 0.319], [0.004, 0.318, 0.609], [0.568, 0.459, 0.815], [0.645, 0.754, 0.185], [0.709, 0.395, 0.391]], "energy_corrected_mp2020_ev_per_cell": -506.1, "formation_energy_mev_per_atom": -2748, "energy_ev_per_cell": -464.063, "magmom_total_mub_per_cell": 60.00, "mass_density_g_cm3": 6.71}


# 2
{"formula": "Ta2MnZn2O8", "functional": "GGA+U", "state": "optimized geometry", "lattice": [[-8.741, 0.750, -5.342], [-5.121, -2.868, -8.429], [-1.972, -4.197, 2.607]], "species": ["Ta", "Ta", "Ta", "Ta", "Mn", "Mn", "Zn", "Zn", "Zn", "Zn", "O", "O", "O", "O", "O", "O", "O", "O", "O", "O", "O", "O", "O", "O", "O", "O"], "fractional_positions": [[0.040, 0.726, 0.731], [0.274, 0.960, 0.769], [0.960, 0.274, 0.269], [0.726, 0.040, 0.231], [0.654, 0.346, 0.750], [0.346, 0.654, 0.250], [0.871, 0.566, 0.770], [0.434, 0.129, 0.730], [0.129, 0.434, 0.230], [0.566, 0.871, 0.270], [0.038, 0.818, 0.063], [0.182, 0.962, 0.437], [0.962, 0.182, 0.937], [0.818, 0.038, 0.563], [0.312, 0.567, 0.595], [0.433, 0.688, 0.905], [0.688, 0.433, 0.405], [0.567, 0.312, 0.095], [0.926, 0.717, 0.430], [0.283, 0.074, 0.070], [0.455, 0.156, 0.359], [0.844, 0.545, 0.141], [0.545, 0.844, 0.641], [0.156, 0.455, 0.859], [0.717, 0.926, 0.930], [0.074, 0.283, 0.570]], "energy_corrected_mp2020_ev_per_cell": -219.6, "formation_energy_mev_per_atom": -2680, "energy_ev_per_cell": -205.313, "magmom_total_mub_per_cell": 10.00, "mass_density_g_cm3": 7.18}